## Bi2Se3 (PBE-GGA)

Data for a geometry-optimized Bi2Se3 structure.

abc: 4.160 11.622 12.536
angles: 90.00 90.00 90.00
Sites, in units of the cell vectors:
Bi: 0.250 0.962 0.851
Bi: 0.750 0.038 0.149
Bi: 0.750 0.462 0.649
Bi: 0.250 0.538 0.351
Bi: 0.250 0.170 0.522
Bi: 0.750 0.830 0.478
Bi: 0.750 0.670 0.978
Bi: 0.250 0.330 0.022
Se: 0.250 0.305 0.712
Se: 0.750 0.695 0.288
Se: 0.750 0.805 0.788
Se: 0.250 0.195 0.212
Se: 0.250 0.952 0.374
Se: 0.750 0.048 0.626
Se: 0.750 0.452 0.126
Se: 0.250 0.548 0.874
Se: 0.250 0.865 0.051
Se: 0.750 0.135 0.949
Se: 0.750 0.365 0.449
Se: 0.250 0.635 0.551

Values from the calculation:
- Space group: Pnma, No. 62
- V: 30.30 Å³/atom
- Crystal system: orthorhombic
- Energy of formation: -3.21 eV per formula unit